<i>
## Li3FeF6 (r2SCAN)

Data for a relaxed Li3FeF6 crystal. Values from VASP.

Geometry as Quantum ESPRESSO input:
```
&SYSTEM
  ibrav = 0, nat = 40, ntyp = 3
/
ATOMIC_SPECIES
Li 6.94 Li.upf
Fe 55.84 Fe.upf
F 19.00 F.upf
CELL_PARAMETERS angstrom
4.971 0.000 0.000
0.000 8.380 0.000
0.000 0.000 9.496
ATOMIC_POSITIONS angstrom
Li 2.469 3.761 1.001
Li 0.036 7.215 1.179
Li 2.487 0.417 1.385
Li 0.001 4.607 3.363
Li 2.522 3.025 3.569
Li 4.955 7.951 3.747
Li 2.469 0.429 5.749
Li 0.036 5.355 5.928
Li 2.487 3.773 6.133
Li 0.001 7.963 8.111
Li 2.522 1.165 8.317
Li 4.955 4.619 8.495
Fe 4.967 2.024 1.226
Fe 2.482 6.214 3.522
Fe 4.967 2.166 5.974
Fe 2.482 6.356 8.270
F 4.089 0.677 0.082
F 1.646 2.053 0.220
F 4.180 3.427 0.200
F 0.733 0.481 2.184
F 3.371 1.940 2.297
F 0.914 3.267 2.400
F 3.399 7.457 2.348
F 0.886 6.130 2.451
F 3.219 4.671 2.565
F 1.695 7.617 4.549
F 4.131 6.243 4.528
F 1.603 4.867 4.666
F 4.089 3.513 4.830
F 1.646 2.137 4.968
F 4.180 0.763 4.948
F 0.733 3.709 6.932
F 3.371 2.250 7.045
F 0.914 0.923 7.148
F 3.399 5.113 7.097
F 0.886 6.440 7.199
F 3.219 7.899 7.313
F 1.695 4.953 9.297
F 4.131 6.327 9.276
F 1.603 7.703 9.415
```

Values from the calculation:
For the calculated volume, the calculation gives 9.89 A^3/atom. Its total magnetization is 20.0 μB/cell. Its space group is Pna2_1 (33).

---

<ii>
## Li3FeF6 (r2SCAN)

Data for a relaxed Li3FeF6 crystal. Values from VASP.

Geometry as Quantum ESPRESSO input:
```
&SYSTEM
  ibrav = 0, nat = 20, ntyp = 3
/
ATOMIC_SPECIES
Li 6.94 Li.upf
Fe 55.84 Fe.upf
F 19.00 F.upf
CELL_PARAMETERS angstrom
4.123 -4.209 0.003
4.123 4.209 0.003
-0.178 0.000 5.890
ATOMIC_POSITIONS angstrom
Li 6.896 0.777 2.615
Li 2.507 2.083 1.453
Li 3.301 -1.306 0.367
Li 4.768 1.306 5.528
Li 5.561 -2.083 4.442
Li 1.173 -0.777 3.280
Fe 0.000 0.000 0.000
Fe 4.034 0.000 2.948
F 6.619 0.933 0.451
F 4.106 3.533 1.808
F 3.873 0.653 1.140
F 5.060 -2.600 0.503
F 5.069 1.508 3.559
F 5.737 -0.855 2.646
F 2.332 0.855 3.249
F 2.999 -1.508 2.336
F 3.009 2.600 5.392
F 4.196 -0.653 4.755
F 3.962 -3.533 4.087
F 1.449 -0.933 5.444
```

Values from the calculation:
For the calculated volume, the calculation gives 10.22 A^3/atom. Its total magnetization is 10.0 μB/cell. Its space group is R-3 (148).

---

Least stable of them? <ii>.

---

<i>
## Cu (r2SCAN)

Data for a relaxed Cu crystal. Values from VASP.

Geometry as Quantum ESPRESSO input:
```
&SYSTEM
  ibrav = 0, nat = 1, ntyp = 1
/
ATOMIC_SPECIES
Cu 63.55 Cu.upf
CELL_PARAMETERS angstrom
-0.587 -2.300 -0.649
-1.171 0.530 2.099
-2.417 -0.262 -0.380
ATOMIC_POSITIONS angstrom
Cu 0.000 0.000 0.000
```

Values from the calculation:
For the calculated volume, the calculation gives 11.46 A^3/atom. Its total magnetization is 0.0 μB/cell. Its space group is I4/mmm (139).

---

<ii>
## Cu (r2SCAN)

Data for a relaxed Cu crystal. Values from VASP.

Geometry as Quantum ESPRESSO input:
```
&SYSTEM
  ibrav = 0, nat = 2, ntyp = 1
/
ATOMIC_SPECIES
Cu 63.55 Cu.upf
CELL_PARAMETERS angstrom
-1.867 -1.689 -0.288
1.637 -0.236 1.920
-2.448 2.303 2.370
ATOMIC_POSITIONS angstrom
Cu -0.143 -0.144 1.777
Cu -2.535 0.522 2.226
```

Values from the calculation:
For the calculated volume, the calculation gives 11.44 A^3/atom. Its total magnetization is 0.0 μB/cell. Its space group is P6_3/mmc (194).

---

Least stable of them? <i>.

---

<i>
## Hg (r2SCAN)

Data for a relaxed Hg crystal. Values from VASP.

Geometry as Quantum ESPRESSO input:
```
&SYSTEM
  ibrav = 0, nat = 20, ntyp = 1
/
ATOMIC_SPECIES
Hg 200.59 Hg.upf
CELL_PARAMETERS angstrom
-7.022 -2.754 3.501
2.417 -7.846 -1.324
3.742 -0.100 7.425
ATOMIC_POSITIONS angstrom
Hg -4.271 -7.945 2.465
Hg -0.052 -0.649 0.583
Hg 0.129 -4.146 1.043
Hg -4.233 -4.689 3.833
Hg -2.125 -2.254 2.949
Hg -1.212 -6.434 3.272
Hg 1.793 -6.913 1.897
Hg -1.871 -9.719 4.304
Hg -3.596 -7.030 5.809
Hg 1.320 -1.998 3.544
Hg -1.636 -4.091 5.845
Hg 1.284 -8.635 4.458
Hg 1.584 -5.152 4.952
Hg -0.594 -7.376 6.619
Hg 4.436 -7.059 4.234
Hg -2.824 -5.652 8.751
Hg 1.310 -2.422 6.857
Hg -1.567 -2.383 8.906
Hg 0.640 -5.085 8.356
Hg 2.862 -7.366 7.351
```

Values from the calculation:
For the calculated volume, the calculation gives 28.75 A^3/atom. Its total magnetization is 0.0 μB/cell. Its space group is P4_132 (213).

---

<ii>
## Hg (r2SCAN)

Data for a relaxed Hg crystal. Values from VASP.

Geometry as Quantum ESPRESSO input:
```
&SYSTEM
  ibrav = 0, nat = 8, ntyp = 1
/
ATOMIC_SPECIES
Hg 200.59 Hg.upf
CELL_PARAMETERS angstrom
6.136 0.000 0.000
0.000 6.136 0.000
0.000 0.000 6.136
ATOMIC_POSITIONS angstrom
Hg 0.000 0.000 0.000
Hg 3.068 1.534 0.000
Hg 3.068 4.602 0.000
Hg 0.000 3.068 1.534
Hg 1.534 0.000 3.068
Hg 4.602 0.000 3.068
Hg 3.068 3.068 3.068
Hg 0.000 3.068 4.602
```

Values from the calculation:
For the calculated volume, the calculation gives 28.88 A^3/atom. Its total magnetization is 0.0 μB/cell. Its space group is Pm-3n (223).

---

Least stable of them? <ii>.

---

<i>
## BiB3O6 (r2SCAN)

Data for a relaxed BiB3O6 crystal. Values from VASP.

Geometry as Quantum ESPRESSO input:
```
&SYSTEM
  ibrav = 0, nat = 40, ntyp = 3
/
ATOMIC_SPECIES
Bi 208.98 Bi.upf
B 10.81 B.upf
O 16.00 O.upf
CELL_PARAMETERS angstrom
-0.258 -4.268 0.287
2.541 -0.398 -3.639
15.111 -0.203 10.575
ATOMIC_POSITIONS angstrom
Bi 5.426 -1.432 3.088
Bi 11.940 -3.905 4.166
Bi 2.642 -3.530 1.374
Bi 14.724 -1.806 5.881
B 9.394 -1.766 4.963
B 9.527 -2.064 2.379
B 11.613 -1.703 6.305
B 7.946 -4.008 2.321
B 4.744 -1.709 0.034
B 14.628 -3.973 8.860
B 5.740 -3.858 0.964
B 2.712 -1.802 -1.576
B 12.608 -3.852 7.236
B 1.893 -4.097 -2.730
B 7.799 -3.940 4.921
B 15.432 -1.907 10.029
O 9.492 -0.568 1.933
O 9.979 -2.208 3.726
O 2.351 -2.608 -2.831
O 4.011 -2.317 -1.080
O 8.017 -2.413 5.164
O 13.451 -4.012 6.062
O 1.719 -1.996 -0.553
O 8.262 -2.624 2.035
O 10.257 -2.213 6.083
O 15.157 -0.374 9.927
O 5.937 -2.537 0.347
O 2.897 -0.416 -1.954
O 4.925 -3.758 2.164
O 5.281 -0.393 -0.347
O 14.613 -2.536 9.048
O 7.322 -4.207 3.602
O 9.248 -0.329 5.060
O 11.580 -0.297 6.740
O 15.582 -4.419 7.880
O 12.237 -2.442 7.433
O 12.424 -1.862 5.110
O 13.272 -4.390 8.427
O 3.898 -1.608 1.211
O 7.026 -4.493 1.263
```

Values from the calculation:
For the calculated volume, the calculation gives 8.81 A^3/atom. Its total magnetization is 0.0 μB/cell. Its space group is Pca2_1 (29).

---

<ii>
## BiB3O6 (r2SCAN)

Data for a relaxed BiB3O6 crystal. Values from VASP.

Geometry as Quantum ESPRESSO input:
```
&SYSTEM
  ibrav = 0, nat = 40, ntyp = 3
/
ATOMIC_SPECIES
Bi 208.98 Bi.upf
B 10.81 B.upf
O 16.00 O.upf
CELL_PARAMETERS angstrom
-11.056 -1.412 3.607
1.363 -0.420 4.014
-0.560 7.155 1.085
ATOMIC_POSITIONS angstrom
Bi -6.924 3.569 3.562
Bi -0.617 5.713 4.711
Bi -9.635 -0.391 3.995
Bi -3.328 1.754 5.144
B -0.140 2.174 3.956
B -1.471 1.116 2.093
B -1.273 3.750 2.313
B -3.695 4.445 3.270
B -3.894 5.308 5.631
B -6.490 5.504 6.033
B -6.557 0.878 5.436
B -8.979 1.573 6.394
B -10.112 3.149 4.751
B -6.359 0.015 3.075
B -3.762 -0.181 2.673
B -8.781 4.207 6.613
O -9.259 4.202 5.244
O -9.549 1.873 5.110
O -4.639 3.323 3.053
O -0.605 0.225 1.286
O -7.712 0.874 6.321
O -3.393 -0.507 4.022
O -6.859 5.830 4.684
O -6.978 0.880 4.049
O -5.613 2.000 5.653
O -5.046 0.541 2.669
O -0.993 1.121 3.462
O -4.420 5.734 2.906
O -0.703 3.449 3.596
O -5.206 4.781 6.037
O -9.815 0.580 7.090
O -9.647 5.098 7.420
O -2.889 0.791 2.048
O -8.842 2.818 7.233
O -0.437 4.743 1.616
O -7.363 4.531 6.658
O -3.274 4.443 4.658
O -2.540 4.449 2.386
O -1.410 2.505 1.473
O -5.832 -0.411 5.800
```

Values from the calculation:
For the calculated volume, the calculation gives 9.05 A^3/atom. Its total magnetization is 0.0 μB/cell. Its space group is P2_1/c (14).

---

Least stable of them? <ii>.

---

<i>
## VP3O9 (r2SCAN)

Data for a relaxed VP3O9 crystal. Values from VASP.

Geometry as Quantum ESPRESSO input:
```
&SYSTEM
  ibrav = 0, nat = 78, ntyp = 3
/
ATOMIC_SPECIES
V 50.94 V.upf
P 30.97 P.upf
O 16.00 O.upf
CELL_PARAMETERS angstrom
-8.886 -5.181 -5.427
4.576 -7.020 8.064
-6.617 -2.487 6.263
ATOMIC_POSITIONS angstrom
V -3.311 -4.450 4.869
V -8.771 -5.399 5.845
V -7.722 -10.271 3.907
V -8.655 -11.839 9.419
V -3.245 -10.723 8.706
V -6.802 -8.541 -1.306
P -8.748 -5.877 -1.724
P -2.494 -8.427 10.991
P -3.981 -6.816 2.513
P -6.764 -8.131 6.172
P 0.429 -7.324 7.093
P -11.321 -7.415 1.766
P -10.855 -9.098 4.224
P -2.228 -8.581 6.422
P -6.332 -9.654 8.721
P -6.708 -7.907 1.896
P -6.333 -3.397 5.013
P -2.189 -2.268 2.719
P -0.293 -5.470 4.881
P -8.886 -5.991 2.716
P -4.740 -4.858 0.357
P -4.372 -6.604 7.173
P -4.571 -11.394 3.741
P -8.606 -12.538 6.145
O -3.978 -5.903 3.683
O -7.800 -7.077 6.300
O -11.529 -8.056 0.447
O 1.646 -8.161 7.204
O -4.950 -3.425 4.450
O -1.620 -2.185 1.341
O -2.320 -3.627 3.291
O -7.085 -4.671 4.963
O -1.696 -5.465 5.393
O -9.409 -6.107 4.111
O -4.234 -5.295 6.494
O -3.889 -3.646 0.393
O -6.706 -8.925 4.919
O -2.847 -7.756 2.339
O 0.124 -6.356 8.185
O -12.275 -6.357 2.206
O -9.372 -9.151 4.250
O -2.245 -8.429 4.946
O -7.220 -9.251 2.268
O -6.887 -10.992 9.049
O -6.052 -11.378 3.657
O -8.537 -12.734 7.614
O -8.109 -11.248 5.598
O -3.850 -10.135 3.420
O -2.332 -9.354 9.841
O -7.732 -6.921 -2.017
O -8.675 -5.142 -0.440
O -3.665 -7.522 11.027
O -2.647 -9.890 6.987
O -11.597 -10.363 4.465
O -4.851 -9.549 8.645
O -6.602 -7.614 0.443
O -8.681 -4.613 2.213
O 0.394 -4.158 4.861
O -6.141 -4.754 0.844
O -4.856 -6.625 8.578
O -11.333 -8.576 2.818
O -0.770 -8.323 6.955
O -3.001 -7.392 7.121
O -4.780 -5.453 -1.109
O -6.953 -9.145 7.367
O -5.305 -7.675 2.571
O -7.530 -6.780 2.631
O -0.300 -6.072 3.430
O -2.540 -9.230 12.361
O -10.214 -6.486 -1.777
O -3.593 -1.539 2.748
O -6.279 -2.867 6.502
O 0.521 -6.571 5.694
O -9.831 -6.852 1.766
O -4.029 -6.039 1.142
O -5.301 -7.561 6.314
O -8.699 -4.805 -2.877
O -1.205 -7.524 11.080
```

Values from the calculation:
For the calculated volume, the calculation gives 12.20 A^3/atom. Its total magnetization is 12.0 μB/cell. Its space group is Cc (9).

---

<ii>
## VP3O9 (r2SCAN)

Data for a relaxed VP3O9 crystal. Values from VASP.

Geometry as Quantum ESPRESSO input:
```
&SYSTEM
  ibrav = 0, nat = 26, ntyp = 3
/
ATOMIC_SPECIES
V 50.94 V.upf
P 30.97 P.upf
O 16.00 O.upf
CELL_PARAMETERS angstrom
3.230 6.607 -0.007
-3.230 6.607 -0.007
0.000 5.663 7.549
ATOMIC_POSITIONS angstrom
V 1.549 5.580 2.978
V -1.549 8.411 6.752
P -0.657 5.569 0.535
P 0.657 8.400 4.309
P -2.884 7.460 1.187
P 2.884 10.291 4.961
P -0.558 9.351 1.643
P 0.558 12.182 5.418
O 0.247 6.123 1.576
O -0.247 8.954 5.351
O -0.314 11.848 6.680
O 0.314 9.016 2.905
O 2.094 9.000 4.528
O -2.094 6.168 0.754
O 0.187 8.892 0.437
O -0.187 11.723 4.212
O 1.818 11.246 5.633
O -1.818 8.414 1.858
O -0.237 7.110 7.511
O 0.237 4.279 3.737
O -0.567 13.677 2.278
O 0.567 16.508 6.053
O -0.977 10.773 1.697
O 0.977 13.604 5.472
O 0.776 6.921 4.249
O -0.776 4.090 0.474
```

Values from the calculation:
For the calculated volume, the calculation gives 12.40 A^3/atom. Its total magnetization is 4.0 μB/cell. Its space group is Cc (9).

---

Least stable of them? <ii>.

---

<i>
## Bi (r2SCAN)

Data for a relaxed Bi crystal. Values from VASP.

Geometry as Quantum ESPRESSO input:
```
&SYSTEM
  ibrav = 0, nat = 2, ntyp = 1
/
ATOMIC_SPECIES
Bi 208.98 Bi.upf
CELL_PARAMETERS angstrom
-1.973 0.131 2.697
-0.469 -4.355 1.781
2.673 0.717 3.834
ATOMIC_POSITIONS angstrom
Bi -1.172 -0.794 3.756
Bi 1.403 -2.713 4.556
```

Values from the calculation:
For the calculated volume, the calculation gives 33.41 A^3/atom. Its total magnetization is 0.0 μB/cell. Its space group is C2/m (12).

---

<ii>
## Bi (r2SCAN)

Data for a relaxed Bi crystal. Values from VASP.

Geometry as Quantum ESPRESSO input:
```
&SYSTEM
  ibrav = 0, nat = 1, ntyp = 1
/
ATOMIC_SPECIES
Bi 208.98 Bi.upf
CELL_PARAMETERS angstrom
0.899 -3.110 -1.139
2.544 1.302 1.900
-2.839 -0.258 1.911
ATOMIC_POSITIONS angstrom
Bi 0.000 0.000 0.000
```

Values from the calculation:
For the calculated volume, the calculation gives 31.12 A^3/atom. Its total magnetization is 0.0 μB/cell. Its space group is Im-3m (229).

---

<iii>
## Bi (r2SCAN)

Data for a relaxed Bi crystal. Values from VASP.

Geometry as Quantum ESPRESSO input:
```
&SYSTEM
  ibrav = 0, nat = 4, ntyp = 1
/
ATOMIC_SPECIES
Bi 208.98 Bi.upf
CELL_PARAMETERS angstrom
-2.221 3.199 -2.456
-2.488 -3.298 -2.046
-4.539 0.467 4.712
ATOMIC_POSITIONS angstrom
Bi -3.382 1.720 -1.175
Bi -5.735 1.893 1.179
Bi -3.514 -1.526 -0.968
Bi -5.867 -1.352 1.386
```

Values from the calculation:
For the calculated volume, the calculation gives 34.81 A^3/atom. Its total magnetization is 0.0 μB/cell.

---

Least stable of them? <ii>.